Record 1
A relaxed Pr5Pb3 crystal, computed with GGA-PBE. Values from VASP.

Values from the calculation:
For the formation energy from the elements, the calculation gives -523.3 meV per atom. Its crystal system is hexagonal. As for the symmetry: P6_3/mcm (193). For the volume, the calculation gives 35.546 Å³ per atom.

Quantum ESPRESSO input file:
```
&SYSTEM
  ibrav = 0, nat = 16, ntyp = 2
/
ATOMIC_SPECIES
Pr 140.91 Pr.upf
Pb 207.20 Pb.upf
CELL_PARAMETERS angstrom
9.631 0.000 0.000
-4.816 8.341 0.000
0.000 0.000 7.080
ATOMIC_POSITIONS angstrom
Pr -1.156 2.002 1.770
Pr -3.659 6.338 5.310
Pr 2.312 0.000 1.770
Pr 1.156 2.002 5.310
Pr 0.000 5.561 0.000
Pr 0.000 5.561 3.540
Pr 4.816 2.780 0.000
Pr 4.816 2.780 3.540
Pr 7.319 0.000 5.310
Pr 3.659 6.338 1.770
Pb -1.901 3.293 5.310
Pb -2.914 5.048 1.770
Pb 3.803 0.000 5.310
Pb 1.901 3.293 1.770
Pb 5.829 0.000 1.770
Pb 2.914 5.048 5.310
```



Record 2
A relaxed MgNp3 crystal, computed with GGA-PBE. Values from VASP.

Values from the calculation:
For the formation energy from the elements, the calculation gives 667.9 meV per atom. Its crystal system is tetragonal. As for the symmetry: I4/mmm (139). For the volume, the calculation gives 20.578 Å³ per atom.

Quantum ESPRESSO input file:
```
&SYSTEM
  ibrav = 0, nat = 4, ntyp = 2
/
ATOMIC_SPECIES
Mg 24.30 Mg.upf
Np 237.00 Np.upf
CELL_PARAMETERS angstrom
-2.192 2.192 4.283
2.192 -2.192 4.283
2.192 2.192 -4.283
ATOMIC_POSITIONS angstrom
Mg 0.000 0.000 0.000
Np 2.192 0.000 2.142
Np 0.000 0.000 4.283
Np 0.000 2.192 2.142
```